Entry 1:
Material: SrCaEuSeO6
Method: DFT, PBE
State: optimized geometry

Its formation energy from the elements is -2534 meV/atom. The total energy is -6.84 eV/atom.

The space group is F-43m (No. 216) and the conventional cell measures 8.083, 8.083 and 8.083 Å, with angles of 90.00, 90.00 and 90.00 degrees. Symmetry generates all atoms from Sr at (0.000, 0.000, 0.000), Ca at (0.250, 0.250, 0.750), Eu at (0.000, 0.000, 0.500), Se at (0.250, 0.250, 0.250) and O at (0.024, 0.250, 0.250).

---

Entry 2:
Material: EuMg2
Method: DFT, PBE
State: optimized geometry

Its formation energy from the elements is -115 meV/atom. The total energy is -4.60 eV/atom.

The space group is Fd-3m (No. 227, origin choice 2) and the conventional cell measures 8.871, 8.871 and 8.871 Å, with angles of 90.00, 90.00 and 90.00 degrees. Symmetry generates all atoms from Eu at (0.125, 0.125, 0.125) and Mg at (0.000, 0.000, 0.500).

---

Entry 3:
Material: KAg3Te2
Method: DFT, PBE
State: optimized geometry

Its formation energy from the elements is -520 meV/atom. The total energy is -3.03 eV/atom.

The space group is C2/m (No. 12) and the conventional cell measures 17.695, 4.639 and 9.263 Å, with angles of 90.00, 114.16 and 90.00 degrees. Symmetry generates all atoms from K at (0.134, 0.000, 0.048), Ag at (0.064, 0.000, 0.410), Ag at (0.089, 0.500, 0.629), Ag at (0.192, 0.500, 0.456), Te at (0.018, 0.500, 0.221) and Te at (0.205, 0.000, 0.707).

---

Entry 4:
Material: NaRhS2O8
Method: DFT, PBE
State: optimized geometry

Its formation energy from the elements is -1757 meV/atom. The total energy is -6.01 eV/atom.

The space group is C2/m (No. 12) and the conventional cell measures 7.973, 5.234 and 7.218 Å, with angles of 90.00, 92.84 and 90.00 degrees. Symmetry generates all atoms from Na at (0.000, 0.000, 0.000), Rh at (0.000, 0.000, 0.500), S at (0.134, 0.500, 0.285), O at (0.021, 0.266, 0.289), O at (0.217, 0.500, 0.111) and O at (0.244, 0.500, 0.458).